1.
Material: Ag3SI
Method: DFT, PBE
State: optimized geometry

Calculated values
Space group = R3
Total magnetization = 0.0 Bohr magnetons per cell
Largest piezoelectric modulus = 0.313 C/m2
Formation energy from the elements = -267 meV per atom

a = 4.9577 Å, b = 4.9577 Å, c = 4.9577 Å
α = 89.91°, β = 89.91°, γ = 89.91°
With the nearest neighbours (Å) after each atom.
Element x y z (fractional)
Ag: 0.0488 0.4036 0.5477  2 S 2.57-2.61
Ag: 0.4036 0.5477 0.0488  2 S 2.57-2.61
Ag: 0.5477 0.0488 0.4036  2 S 2.57-2.61
S: 0.5525 0.5525 0.5525  6 Ag 2.57-2.61
I: 0.0199 0.0199 0.0199  6 Ag 3.02-3.24



2.
Material: Ag9S4I4
Method: DFT, PBE
State: optimized geometry

Calculated values
Space group = Cm
Total magnetization = 0.0 Bohr magnetons per cell
Formation energy from the elements = -212 meV per atom

a = 4.1286 Å, b = 4.1286 Å, c = 27.1251 Å
α = 90.95°, β = 90.95°, γ = 62.67°
With the nearest neighbours (Å) after each atom.
Element x y z (fractional)
Ag: 0.0000 0.0000 0.0000  3 S 2.64
Ag: 0.0080 0.0080 0.2446  3 S 2.48-2.75, 2 Ag 2.77
Ag: 0.1935 0.1935 0.3453  2 S 2.51-2.54
Ag: 0.2724 0.2724 0.7163  6 I 2.97-3.06
Ag: 0.3578 0.3578 0.0891  2 S 2.53-2.54
Ag: 0.5521 0.5521 0.4344  3 S 2.64-2.65
Ag: 0.6190 0.6190 0.1873  2 S 2.45
Ag: 0.6273 0.6273 0.8548  6 I 2.95-3.15
Ag: 0.9186 0.9186 0.5781  6 I 2.95-3.13
S: 0.0757 0.0757 0.1452  3 Ag 2.45-2.53
S: 0.4714 0.4714 0.2888  3 Ag 2.48-2.51
S: 0.6597 0.6597 0.0392  4 Ag 2.54-2.64
S: 0.8923 0.8923 0.3948  4 Ag 2.54-2.65
I: 0.2516 0.2516 0.5142  4 Ag 2.95-3.06
I: 0.2939 0.2939 0.9186  4 Ag 2.95-3.06
I: 0.5991 0.5991 0.6486  6 Ag 2.97-3.13
I: 0.9451 0.9451 0.7836  6 Ag 2.97-3.15